(1)
Gd4P6H16O23 | Materials Project | PBE | optimized geometry; volume = 11.83 Å³/atom; formation energy = -2.22 eV/atom
1.0
6.9865 0.0139 -0.0280
-3.3364 12.0598 -4.3463
0.0915 0.0007 13.7504
Gd P H O
8 12 32 46
direct
0.3260 0.6181 0.8986
0.6740 0.3819 0.1014
0.8428 0.1177 0.9005
0.1572 0.8823 0.0995
0.4922 0.6379 0.6199
0.9767 0.8665 0.3719
0.0233 0.1335 0.6281
0.5078 0.3621 0.3801
0.3389 0.3997 0.6414
0.4931 0.8536 0.8815
0.5069 0.1464 0.1185
0.0187 0.4116 0.3079
0.9813 0.5884 0.6921
0.6611 0.6003 0.3586
0.9936 0.6500 0.1192
0.8812 0.8963 0.6483
0.1188 0.1037 0.3517
0.0064 0.3500 0.8808
0.5179 0.0937 0.6849
0.4821 0.9063 0.3151
0.4064 0.3569 0.9046
0.7332 0.5760 0.9435
0.2815 0.0964 0.8610
0.0266 0.8561 0.6831
0.8928 0.8460 0.8994
0.3717 0.8974 0.8340
0.9864 0.2469 0.1248
0.8827 0.3860 0.8262
0.7185 0.9036 0.1390
0.4936 0.3601 0.6674
0.2680 0.4114 0.1666
0.9434 0.4721 0.6553
0.4772 0.7384 0.1261
0.1950 0.6971 0.5266
0.5322 0.0231 0.3511
0.5228 0.2616 0.8739
0.2668 0.4240 0.0565
0.5064 0.6399 0.3326
0.9734 0.1439 0.3169
0.6430 0.2278 0.5202
0.4678 0.9769 0.6489
0.0566 0.5279 0.3447
0.6283 0.1026 0.1660
0.0136 0.7531 0.8752
0.7716 0.9322 0.0385
0.1173 0.6140 0.1738
0.8050 0.3029 0.4734
0.5936 0.6431 0.0954
0.3570 0.7722 0.4798
0.7320 0.5886 0.8334
0.1072 0.1540 0.1006
0.2284 0.0678 0.9615
0.5737 0.1305 0.8037
0.5047 0.7403 0.8056
0.3318 0.1281 0.6661
0.1465 0.3092 0.6268
0.9524 0.3735 0.1896
0.6840 0.8103 0.6305
0.3090 0.8665 0.3745
0.1696 0.0761 0.9003
0.0330 0.2371 0.8102
0.8304 0.9239 0.0997
0.9543 0.9246 0.5512
0.4953 0.2597 0.1944
0.6549 0.4894 0.2722
0.3894 0.4322 0.5440
0.1003 0.6755 0.0281
0.1163 0.9897 0.2702
0.3038 0.0595 0.0857
0.8837 0.0103 0.7298
0.6753 0.2950 0.5019
0.6910 0.1335 0.6255
0.1476 0.6349 0.6335
0.3247 0.7050 0.4981
0.3160 0.1897 0.3695
0.7979 0.5586 0.0833
0.0457 0.0754 0.4488
0.6063 0.1711 0.0254
0.0087 0.8282 0.9228
0.6106 0.5678 0.4560
0.7832 0.6152 0.6805
0.6962 0.9405 0.9143
0.3451 0.5106 0.7278
0.2168 0.3848 0.3195
0.8524 0.3651 0.3665
0.9913 0.1718 0.0772
0.4263 0.8695 0.1963
0.6472 0.5766 0.8877
0.3528 0.4234 0.1123
0.0476 0.6265 0.8104
0.8535 0.6908 0.3732
0.9670 0.7629 0.1898
0.3937 0.8289 0.9746
0.4860 0.6681 0.0729
0.5140 0.3319 0.9271
0.2021 0.4414 0.9167
0.6682 0.8719 0.3339
0.8997 0.3245 0.9719

(2)
GdP2H9O10 | Materials Project | PBE | optimized geometry; volume = 9.72 Å³/atom; formation energy = -1.93 eV/atom
1.0
-0.8331 -5.4450 -4.7783
-5.8186 -4.8463 6.5370
-9.4397 5.3422 -4.4418
Gd P H O
4 8 36 40
direct
0.2500 0.7424 0.2500
0.2500 0.7576 0.7500
0.7500 0.2576 0.7500
0.7500 0.2424 0.2500
0.4147 0.0301 0.0728
0.4147 0.4699 0.9272
0.0853 0.0301 0.4272
0.0853 0.4699 0.5728
0.5853 0.9699 0.9272
0.5853 0.5301 0.0728
0.9147 0.9699 0.5728
0.9147 0.5301 0.4272
0.0563 0.4421 0.2422
0.0563 0.0579 0.7578
0.4437 0.4421 0.2578
0.4437 0.0579 0.7422
0.9437 0.5579 0.7578
0.9437 0.9421 0.2422
0.5563 0.5579 0.7422
0.5563 0.9421 0.2578
0.2996 0.2500 0.0000
0.2004 0.2500 0.5000
0.7004 0.7500 0.0000
0.7996 0.7500 0.5000
0.0361 0.1286 0.0737
0.0361 0.3714 0.9263
0.4639 0.1286 0.4263
0.4639 0.3714 0.5737
0.9639 0.8714 0.9263
0.9639 0.6286 0.0737
0.5361 0.8714 0.5737
0.5361 0.6286 0.4263
0.1613 0.8774 0.9853
0.1613 0.6226 0.0147
0.3387 0.8774 0.5147
0.3387 0.6226 0.4853
0.8387 0.1226 0.0147
0.8387 0.3774 0.9853
0.6613 0.1226 0.4853
0.6613 0.3774 0.5147
0.1166 0.3518 0.1393
0.1166 0.1482 0.8607
0.3834 0.3518 0.3607
0.3834 0.1482 0.6393
0.8834 0.6482 0.8607
0.8834 0.8518 0.1393
0.6166 0.6482 0.6393
0.6166 0.8518 0.3607
0.9606 0.0850 0.3330
0.9606 0.4150 0.6670
0.5394 0.0850 0.1670
0.5394 0.4150 0.8330
0.0394 0.9150 0.6670
0.0394 0.5850 0.3330
0.4606 0.9150 0.8330
0.4606 0.5850 0.1670
0.2260 0.1352 0.4733
0.2260 0.3648 0.5267
0.2740 0.1352 0.0267
0.2740 0.3648 0.9733
0.7740 0.8648 0.5267
0.7740 0.6352 0.4733
0.7260 0.8648 0.9733
0.7260 0.6352 0.0267
0.0468 0.3506 0.2104
0.0468 0.1494 0.7896
0.4532 0.3506 0.2896
0.4532 0.1494 0.7104
0.9532 0.6494 0.7896
0.9532 0.8506 0.2104
0.5468 0.6494 0.7104
0.5468 0.8506 0.2896
0.6913 0.4033 0.1069
0.6913 0.0967 0.8931
0.8087 0.4033 0.3931
0.8087 0.0967 0.6069
0.3087 0.5967 0.8931
0.3087 0.9033 0.1069
0.1913 0.5967 0.6069
0.1913 0.9033 0.3931
0.9028 0.1324 0.0889
0.9028 0.3676 0.9111
0.5972 0.1324 0.4111
0.5972 0.3676 0.5889
0.0972 0.8676 0.9111
0.0972 0.6324 0.0889
0.4028 0.8676 0.5889
0.4028 0.6324 0.4111

(3)
GdYH4 | Materials Project | PBE | optimized geometry; volume = 11.57 Å³/atom; formation energy = -0.79 eV/atom
1.0
3.6604 0.0000 0.0000
0.0000 3.6604 0.0000
0.0000 0.0000 5.1831
Gd Y H
1 1 4
direct
0.0000 0.0000 0.0000
0.5000 0.5000 0.5000
0.5000 0.0000 0.7487
0.0000 0.5000 0.2513
0.5000 0.0000 0.2513
0.0000 0.5000 0.7487

(4)
KGdHf2O6 | Materials Project | PBE | optimized geometry; volume = 13.91 Å³/atom; formation energy = -3.50 eV/atom
1.0
0.0000 -4.1125 -4.1125
4.1125 0.0000 -4.1125
4.1125 -4.1125 0.0000
K Gd Hf O
1 1 2 6
direct
0.5000 0.5000 0.5000
0.0000 0.0000 0.0000
0.2500 0.2500 0.2500
0.7500 0.7500 0.7500
0.0000 0.0000 0.5000
0.5000 0.5000 0.0000
0.0000 0.5000 0.5000
0.5000 0.0000 0.0000
0.0000 0.5000 0.0000
0.5000 0.0000 0.5000

(5)
NaGdHf2O6 | Materials Project | PBE | optimized geometry; volume = 13.69 Å³/atom; formation energy = -3.48 eV/atom
1.0
-5.1475 -0.3200 -2.6217
-3.3195 -4.6856 0.7058
-4.8610 0.3417 3.1188
Na Gd Hf O
1 1 2 6
direct
0.0000 0.0000 0.0000
0.5000 0.5000 0.5000
0.2500 0.2500 0.2500
0.7500 0.7500 0.7500
0.0000 0.0000 0.5000
0.5000 0.5000 0.0000
0.0000 0.5000 0.5000
0.5000 0.0000 0.0000
0.0000 0.5000 0.0000
0.5000 0.0000 0.5000

(6)
Gd2Hf2O7 | Materials Project | PBE | optimized geometry; volume = 13.50 Å³/atom; formation energy = -4.00 eV/atom
1.0
0.0000 5.2953 5.2953
5.2953 0.0000 5.2953
5.2953 5.2953 0.0000
Gd Hf O
4 4 14
direct
0.6250 0.1250 0.1250
0.1250 0.6250 0.1250
0.1250 0.1250 0.6250
0.1250 0.1250 0.1250
0.1250 0.6250 0.6250
0.6250 0.1250 0.6250
0.6250 0.6250 0.1250
0.6250 0.6250 0.6250
0.7103 0.7103 0.2897
0.2897 0.2897 0.7103
0.7103 0.2897 0.7103
0.2897 0.7103 0.2897
0.2897 0.7103 0.7103
0.7103 0.2897 0.2897
0.5397 0.5397 0.9603
0.9603 0.9603 0.5397
0.5397 0.9603 0.5397
0.9603 0.5397 0.9603
0.9603 0.5397 0.5397
0.5397 0.9603 0.9603
0.2500 0.2500 0.2500
0.0000 0.0000 0.0000

(7)
Gd2HfS5 | Materials Project | PBE | optimized geometry; volume = 20.71 Å³/atom; formation energy = -2.21 eV/atom
1.0
7.3108 0.0000 0.0000
0.0000 7.8274 0.0000
0.0000 0.0000 11.5789
Gd Hf S
8 4 20
direct
0.5236 0.4977 0.3215
0.9764 0.0023 0.8215
0.4764 0.9977 0.6785
0.0236 0.5023 0.1785
0.4764 0.5023 0.6785
0.0236 0.9977 0.1785
0.5236 0.0023 0.3215
0.9764 0.4977 0.8215
0.0757 0.7500 0.4935
0.4243 0.7500 0.9935
0.9243 0.2500 0.5065
0.5757 0.2500 0.0065
0.8388 0.9635 0.5911
0.6612 0.5365 0.0911
0.1612 0.4635 0.4089
0.3388 0.0365 0.9089
0.1612 0.0365 0.4089
0.3388 0.4635 0.9089
0.8388 0.5365 0.5911
0.6612 0.9635 0.0911
0.8360 0.7500 0.3187
0.6640 0.7500 0.8187
0.1640 0.2500 0.6813
0.3360 0.2500 0.1813
0.4451 0.7500 0.4953
0.0549 0.7500 0.9953
0.5549 0.2500 0.5047
0.9451 0.2500 0.0047
0.1872 0.7500 0.7065
0.3128 0.7500 0.2065
0.8128 0.2500 0.2935
0.6872 0.2500 0.7935

(8)
GdHg | Materials Project | PBE | optimized geometry; volume = 26.59 Å³/atom; formation energy = -0.51 eV/atom
1.0
3.7604 0.0000 0.0000
0.0000 3.7604 0.0000
0.0000 0.0000 3.7604
Gd Hg
1 1
direct
0.0000 0.0000 0.0000
0.5000 0.5000 0.5000

(9)
Gd2InHg | Materials Project | PBE | optimized geometry; volume = 24.82 Å³/atom; formation energy = -0.46 eV/atom
1.0
0.0000 3.6750 3.6750
3.6750 0.0000 3.6750
3.6750 3.6750 0.0000
Gd In Hg
2 1 1
direct
0.2500 0.2500 0.2500
0.7500 0.7500 0.7500
0.0000 0.0000 0.0000
0.5000 0.5000 0.5000

(10)
NaGdHg2 | Materials Project | PBE | optimized geometry; volume = 25.46 Å³/atom; formation energy = -0.35 eV/atom
1.0
0.0000 3.7064 3.7064
3.7064 0.0000 3.7064
3.7064 3.7064 0.0000
Na Gd Hg
1 1 2
direct
0.0000 0.0000 0.0000
0.5000 0.5000 0.5000
0.2500 0.2500 0.2500
0.7500 0.7500 0.7500

(11)
Gd2HgO4 | Materials Project | PBE | optimized geometry; volume = 15.87 Å³/atom; formation energy = -2.98 eV/atom
1.0
1.8546 6.9046 0.0000
-1.8546 6.9046 0.0000
0.0000 5.4307 8.6748
Gd Hg O
4 2 8
direct
0.6197 0.6197 0.5386
0.1594 0.1594 0.2006
0.8406 0.8406 0.7994
0.3803 0.3803 0.4614
0.8862 0.8862 0.1615
0.1138 0.1138 0.8385
0.2307 0.2307 0.3886
0.7968 0.7968 0.0558
0.0352 0.0352 0.7188
0.5818 0.5818 0.3472
0.4182 0.4182 0.6528
0.9648 0.9648 0.2812
0.2032 0.2032 0.9442
0.7693 0.7693 0.6114

(12)
PmGdHg2 | Materials Project | PBE | optimized geometry; volume = 27.30 Å³/atom; formation energy = -0.50 eV/atom
1.0
3.1835 -4.2578 -0.7197
-2.1447 -4.8767 -0.6314
0.2019 -2.4203 -4.7836
Pm Gd Hg
1 1 2
direct
0.0000 0.0000 0.0000
0.5000 0.5000 0.5000
0.2500 0.2500 0.2500
0.7500 0.7500 0.7500

(13)
Gd3Ho | Materials Project | PBE | optimized geometry; volume = 31.79 Å³/atom; formation energy = 0.03 eV/atom
1.0
-1.6459 -0.4325 5.9284
-3.6457 4.7440 1.4985
-0.2067 -4.0539 -4.6439
Gd Ho
3 1
direct
0.7500 0.2500 0.5000
0.2500 0.7500 0.5000
0.5000 0.5000 0.0000
0.0000 0.0000 0.0000

(14)
GdHo3 | Materials Project | PBE | optimized geometry; volume = 31.84 Å³/atom; formation energy = 0.02 eV/atom
1.0
-2.5042 2.5042 5.0773
2.5042 -2.5042 5.0773
2.5042 2.5042 -5.0773
Gd Ho
1 3
direct
0.0000 0.0000 0.0000
0.7500 0.2500 0.5000
0.2500 0.7500 0.5000
0.5000 0.5000 0.0000

(15)
GdIO | Materials Project | PBE | optimized geometry; volume = 23.74 Å³/atom; formation energy = -2.45 eV/atom
1.0
0.0000 5.7681 6.1144
4.0382 0.0000 6.1144
4.0382 5.7681 0.0000
Gd I O
4 4 4
direct
0.3515 0.6485 0.3515
0.6015 0.8985 0.6015
0.6485 0.3515 0.6485
0.8985 0.6015 0.8985
0.1250 0.1250 0.1250
0.6250 0.1250 0.1250
0.1250 0.1250 0.6250
0.1250 0.6250 0.1250
0.6155 0.6155 0.3845
0.3845 0.3845 0.6155
0.8655 0.8655 0.6345
0.6345 0.6345 0.8655